# 1
! TlH12C4Br4N5 | the Materials Project | PBE | relaxed; values from VASP
! energy of formation from the pure elements	-0.360	eV per atom
! theoretical density	2.51	g cm⁻³
&SYSTEM
  ibrav = 0, nat = 104, ntyp = 5
/
ATOMIC_SPECIES
Tl 204.38 Tl.upf
H 1.01 H.upf
C 12.01 C.upf
Br 79.90 Br.upf
N 14.01 N.upf
ATOMIC_POSITIONS angstrom
Tl 0.031 8.603 12.136
Tl 7.281 13.261 9.068
Tl 3.625 3.253 1.534
Tl 3.688 18.611 19.670
H 3.625 11.290 5.344
H 7.299 10.547 1.892
H 3.643 5.966 8.710
H 1.153 10.278 4.083
H 6.598 5.336 3.669
H 3.251 11.719 12.626
H 4.061 10.144 8.577
H 3.758 5.692 5.176
H 2.631 7.424 8.740
H 0.001 8.009 6.313
H 5.608 14.398 18.867
H 4.233 9.128 2.775
H 1.025 12.774 19.342
H 3.079 12.736 18.429
H 0.577 7.386 7.827
H 0.013 11.317 19.312
H 5.432 16.075 12.486
H 1.776 11.139 19.319
H 0.031 16.640 15.946
H 3.688 10.573 15.860
H 5.536 10.725 1.884
H 2.503 15.628 14.685
H 3.934 4.686 6.646
H 0.102 10.822 5.426
H 3.669 15.897 12.494
H 6.735 14.478 13.376
H 4.809 6.236 6.518
H 0.405 6.369 2.024
H 3.379 17.178 14.558
H 6.287 9.090 1.862
H 3.657 8.505 4.289
H 4.681 14.440 12.464
H 1.704 7.466 2.337
H 7.035 10.036 17.248
H 6.908 15.494 19.179
H 6.159 11.586 17.120
H 7.210 11.042 15.778
H 5.360 9.048 8.265
H 7.312 13.855 14.891
H 0.714 16.528 17.535
H 1.952 12.816 12.939
H 4.370 10.686 14.271
H 2.942 11.178 6.933
H 3.655 13.359 16.915
H 7.281 5.223 5.258
H 3.554 16.172 16.028
H 0.278 11.828 3.956
H 1.880 5.789 8.717
C 4.601 15.461 12.863
C 5.402 9.587 4.437
C 0.945 11.753 18.943
C 2.744 11.902 14.603
C 3.435 16.151 14.942
C 1.910 12.277 16.767
C 0.912 6.552 4.001
C 0.221 10.801 4.340
C 1.746 6.927 6.165
C 2.711 6.403 8.341
C 4.568 9.962 6.601
C 3.877 5.713 6.261
C 6.367 10.111 2.261
C 6.400 15.312 17.203
C 5.566 14.937 15.039
C 7.092 11.063 16.863
Br 0.813 14.299 6.799
Br 1.051 10.862 8.942
Br 2.682 9.294 0.484
Br 2.618 8.426 12.006
Br 0.974 14.644 11.086
Br 6.499 7.564 14.405
Br 2.605 16.212 19.544
Br 6.261 11.002 12.262
Br 6.338 7.220 10.118
Br 4.630 12.570 20.720
Br 2.843 19.649 17.401
Br 6.274 18.788 19.800
Br 4.469 2.214 3.803
Br 4.694 13.438 9.198
Br 1.038 3.076 1.404
Br 4.707 5.651 1.660
N 2.979 12.789 17.419
N 6.377 14.953 18.505
N 0.099 16.135 16.824
N 3.755 11.078 14.982
N 4.333 9.075 3.785
N 4.563 15.462 14.323
N 2.721 12.261 13.301
N 1.803 12.370 15.416
N 0.935 6.911 2.699
N 2.749 6.402 6.881
N 5.459 14.844 16.390
N 3.557 10.785 6.222
N 0.907 11.752 17.483
N 0.677 7.439 6.817
N 6.405 10.112 3.721
N 6.635 14.425 14.387
N 4.591 9.603 7.903
N 7.213 5.728 4.380
N 1.853 7.020 4.814
N 5.509 9.494 5.788
CELL_PARAMETERS angstrom
7.312 0.000 0.000
0.000 11.164 0.000
0.000 10.700 21.204

=====

# 2
! Ca2ZrTiO6 | the Materials Project | PBE | relaxed; values from VASP
! energy of formation from the pure elements	-3.479	eV per atom
! theoretical density	4.02	g cm⁻³
&SYSTEM
  ibrav = 0, nat = 10, ntyp = 4
/
ATOMIC_SPECIES
Ca 40.08 Ca.upf
Zr 91.22 Zr.upf
Ti 47.87 Ti.upf
O 16.00 O.upf
ATOMIC_POSITIONS angstrom
Ca -2.181 0.362 2.693
Ca -6.543 1.087 8.080
Zr -4.362 0.725 5.387
Ti 0.000 0.000 0.000
O -3.396 2.280 4.410
O -5.329 -0.831 6.363
O -3.875 1.572 7.217
O -4.849 -0.123 3.556
O -6.133 1.806 5.357
O -2.591 -0.357 5.416
CELL_PARAMETERS angstrom
-2.489 3.740 3.493
-5.307 -0.918 1.837
-0.929 -1.373 5.444

=====

# 3
! BiKrF7 | the Materials Project | PBE | relaxed; values from VASP
! energy of formation from the pure elements	-1.556	eV per atom
! theoretical density	4.08	g cm⁻³
&SYSTEM
  ibrav = 0, nat = 36, ntyp = 3
/
ATOMIC_SPECIES
Bi 208.98 Bi.upf
Kr 83.80 Kr.upf
F 19.00 F.upf
ATOMIC_POSITIONS angstrom
Bi 10.729 4.124 8.398
Bi 5.308 3.049 8.806
Bi 0.114 2.518 3.071
Bi 5.536 3.593 2.663
Kr 2.517 6.050 6.063
Kr 7.939 1.123 11.140
Kr 8.326 0.591 5.406
Kr 2.905 5.519 0.329
F 4.074 1.326 5.524
F 9.495 4.785 0.211
F 6.770 5.316 5.945
F 1.348 1.857 11.258
F 6.857 2.934 1.269
F 1.435 3.177 4.466
F 3.987 3.708 10.200
F 9.409 3.465 7.003
F 6.665 5.280 2.809
F 1.243 0.830 2.926
F 4.179 1.362 8.660
F 9.601 5.811 8.543
F 4.686 4.608 0.852
F 10.108 1.502 4.882
F 6.158 2.033 10.617
F 0.736 5.140 6.587
F 6.411 2.688 4.248
F 0.990 3.422 1.486
F 4.432 3.954 7.221
F 9.854 3.219 9.983
F 4.290 2.057 2.207
F 9.712 4.053 3.527
F 6.554 4.584 9.262
F 1.132 2.589 7.942
F 1.390 5.027 9.407
F 6.812 2.146 7.796
F 9.453 1.615 2.062
F 4.031 4.495 3.673
CELL_PARAMETERS angstrom
10.844 0.000 0.000
0.000 5.579 0.000
0.000 1.063 11.469

=====

# 4
! Nd6Al43W4 | the Materials Project | PBE | relaxed; values from VASP
! energy of formation from the pure elements	-0.272	eV per atom
! theoretical density	4.80	g cm⁻³
&SYSTEM
  ibrav = 0, nat = 106, ntyp = 3
/
ATOMIC_SPECIES
Nd 144.24 Nd.upf
Al 26.98 Al.upf
W 183.84 W.upf
ATOMIC_POSITIONS angstrom
Nd 5.226 0.000 16.122
Nd 2.949 -5.107 16.122
Nd 2.949 5.107 16.122
Nd 5.898 0.000 1.702
Nd 2.613 -4.526 1.702
Nd 2.613 4.526 1.702
Nd 5.898 0.000 7.210
Nd 2.613 -4.526 7.210
Nd 2.613 4.526 7.210
Nd 5.226 0.000 10.614
Nd 2.949 -5.107 10.614
Nd 2.949 5.107 10.614
Al 5.989 -5.845 14.882
Al 7.630 -1.524 14.882
Al 3.067 -2.264 14.882
Al 5.989 5.845 14.882
Al 7.630 1.524 14.882
Al 3.067 2.264 14.882
Al 5.135 5.845 2.942
Al 3.494 1.524 2.942
Al 8.057 2.264 2.942
Al 5.135 -5.845 2.942
Al 3.494 -1.524 2.942
Al 8.057 -2.264 2.942
Al 5.135 5.845 5.970
Al 3.494 1.524 5.970
Al 8.057 2.264 5.970
Al 5.135 -5.845 5.970
Al 3.494 -1.524 5.970
Al 8.057 -2.264 5.970
Al 5.989 -5.845 11.854
Al 7.630 -1.524 11.854
Al 3.067 -2.264 11.854
Al 5.989 5.845 11.854
Al 7.630 1.524 11.854
Al 3.067 2.264 11.854
Al 9.369 0.000 6.853
Al 0.878 -1.520 6.853
Al 0.878 1.520 6.853
Al 1.755 0.000 10.971
Al 4.684 -8.113 10.971
Al 4.684 8.113 10.971
Al 1.755 0.000 15.765
Al 4.684 -8.113 15.765
Al 4.684 8.113 15.765
Al 9.369 0.000 2.059
Al 0.878 -1.520 2.059
Al 0.878 1.520 2.059
Al 8.331 0.000 17.267
Al 1.396 -2.418 17.267
Al 1.396 2.418 17.267
Al 2.793 0.000 0.557
Al 4.166 -7.215 0.557
Al 4.166 7.215 0.557
Al 2.793 0.000 8.355
Al 4.166 -7.215 8.355
Al 4.166 7.215 8.355
Al 8.331 0.000 9.469
Al 1.396 -2.418 9.469
Al 1.396 2.418 9.469
Al 7.233 -3.893 13.368
Al 5.317 -1.423 13.368
Al 4.136 -4.317 13.368
Al 7.233 3.893 13.368
Al 5.317 1.423 13.368
Al 4.136 4.317 13.368
Al 3.891 3.893 4.456
Al 5.807 1.423 4.456
Al 6.987 4.317 4.456
Al 3.891 -3.893 4.456
Al 5.807 -1.423 4.456
Al 6.987 -4.317 4.456
Al 5.562 -4.878 0.000
Al 7.005 -2.378 0.000
Al 4.119 -2.378 0.000
Al 5.562 4.878 0.000
Al 7.005 2.378 0.000
Al 4.119 2.378 0.000
Al 5.562 4.878 8.912
Al 4.119 2.378 8.912
Al 7.005 2.378 8.912
Al 5.562 -4.878 8.912
Al 4.119 -2.378 8.912
Al 7.005 -2.378 8.912
Al 5.562 -3.211 15.558
Al 5.562 3.211 15.558
Al 5.562 3.211 2.266
Al 5.562 -3.211 2.266
Al 5.562 3.211 6.646
Al 5.562 -3.211 6.646
Al 5.562 -3.211 11.178
Al 5.562 3.211 11.178
Al 9.493 0.000 13.368
Al 0.815 -1.412 13.368
Al 0.815 1.412 13.368
Al 1.631 0.000 4.456
Al 4.747 -8.221 4.456
Al 4.747 8.221 4.456
W 2.998 0.000 13.368
W 4.063 -7.037 13.368
W 4.063 7.037 13.368
W 8.126 0.000 4.456
W 1.499 -2.596 4.456
W 1.499 2.596 4.456
W 0.000 0.000 0.000
W 0.000 0.000 8.912
CELL_PARAMETERS angstrom
5.562 -9.633 0.000
5.562 9.633 0.000
0.000 0.000 17.824

=====

Question: The highest energy of formation from the pure elements belongs to which entry?
Answer: Nd6Al43W4